[1]
# CoO

An optimized crystal structure of CoO (PBE with a Hubbard U, the Materials Project).

Largest piezoelectric modulus ... 0.62 C/m²

```
data_CoO
_cell_length_a 4.598
_cell_length_b 4.598
_cell_length_c 5.625
_cell_angle_alpha 113.98
_cell_angle_beta 66.02
_cell_angle_gamma 89.87
_space_group_name_H-M_alt 'P 1'
_space_group_IT_number 1
loop_
_space_group_symop_operation_xyz
'x,y,z'
loop_
_atom_site_label
_atom_site_type_symbol
_atom_site_fract_x
_atom_site_fract_y
_atom_site_fract_z
_atom_site_occupancy
O1 O 0.625 0.875 0.250 1
Co1 Co 0.750 0.750 0.500 1
O2 O 0.125 0.375 0.250 1
Co2 Co 0.500 0.500 0.000 1
Co3 Co 0.000 0.000 0.000 1
O3 O 0.875 0.125 0.750 1
Co4 Co 0.250 0.250 0.500 1
O4 O 0.375 0.625 0.750 1
```


[2]
# Li4Mn2V3O12

An optimized crystal structure of Li4Mn2V3O12 (PBE with a Hubbard U, the Materials Project).

Spin magnetization ... 36.0 μB per cell
Space group ... P2_1/c (14)

```
data_Li4Mn2V3O12
_cell_length_a 9.272
_cell_length_b 9.061
_cell_length_c 15.316
_cell_angle_alpha 55.05
_cell_angle_beta 90.00
_cell_angle_gamma 90.00
_space_group_name_H-M_alt 'P 1'
_space_group_IT_number 1
loop_
_space_group_symop_operation_xyz
'x,y,z'
loop_
_atom_site_label
_atom_site_type_symbol
_atom_site_fract_x
_atom_site_fract_y
_atom_site_fract_z
_atom_site_occupancy
O1 O 0.816 0.710 0.659 1
Li1 Li 0.016 0.284 0.649 1
O2 O 0.128 0.510 0.594 1
O3 O 0.682 0.223 0.561 1
O4 O 0.628 0.490 0.906 1
O5 O 0.476 0.474 0.270 1
O6 O 0.368 0.848 0.088 1
Li2 Li 0.984 0.716 0.351 1
O7 O 0.339 0.561 0.891 1
V1 V 0.748 0.440 0.009 1
Li3 Li 0.275 0.000 0.811 1
V2 V 0.374 0.273 0.343 1
Mn1 Mn 0.976 0.636 0.610 1
V3 V 0.126 0.273 0.843 1
Li4 Li 0.725 0.000 0.189 1
O8 O 0.566 0.848 0.527 1
O9 O 0.632 0.152 0.912 1
O10 O 0.774 0.022 0.808 1
Mn2 Mn 0.524 0.636 0.110 1
O11 O 0.818 0.223 0.061 1
O12 O 0.377 0.394 0.559 1
O13 O 0.434 0.152 0.473 1
Mn3 Mn 0.024 0.364 0.390 1
Li5 Li 0.828 0.146 0.964 1
O14 O 0.055 0.201 0.547 1
O15 O 0.976 0.526 0.230 1
O16 O 0.661 0.439 0.109 1
O17 O 0.623 0.606 0.441 1
Li6 Li 0.172 0.854 0.036 1
O18 O 0.877 0.606 0.941 1
O19 O 0.182 0.777 0.939 1
O20 O 0.372 0.510 0.094 1
V4 V 0.389 0.974 0.138 1
O21 O 0.945 0.799 0.453 1
Li7 Li 0.581 0.631 0.301 1
O22 O 0.979 0.879 0.738 1
O23 O 0.274 0.978 0.692 1
O24 O 0.161 0.561 0.391 1
Mn4 Mn 0.537 0.867 0.383 1
O25 O 0.684 0.710 0.159 1
O26 O 0.521 0.879 0.238 1
V5 V 0.874 0.727 0.157 1
Li8 Li 0.081 0.369 0.199 1
O27 O 0.123 0.394 0.059 1
O28 O 0.024 0.474 0.770 1
O29 O 0.226 0.978 0.192 1
Mn5 Mn 0.037 0.133 0.117 1
O30 O 0.872 0.490 0.406 1
O31 O 0.910 0.862 0.202 1
Li9 Li 0.672 0.146 0.464 1
Mn6 Mn 0.963 0.867 0.883 1
Li10 Li 0.516 0.716 0.851 1
O32 O 0.524 0.526 0.730 1
V6 V 0.252 0.560 0.991 1
Li11 Li 0.919 0.631 0.801 1
O33 O 0.555 0.799 0.953 1
O34 O 0.066 0.152 0.973 1
V7 V 0.248 0.560 0.491 1
O35 O 0.184 0.290 0.341 1
Li12 Li 0.225 0.000 0.311 1
V8 V 0.611 0.026 0.862 1
O36 O 0.318 0.777 0.439 1
V9 V 0.111 0.974 0.638 1
V10 V 0.626 0.727 0.657 1
O37 O 0.090 0.138 0.798 1
Li13 Li 0.419 0.369 0.699 1
O38 O 0.479 0.121 0.762 1
Mn7 Mn 0.476 0.364 0.890 1
O39 O 0.868 0.152 0.412 1
O40 O 0.410 0.138 0.298 1
V11 V 0.752 0.440 0.509 1
Li14 Li 0.328 0.854 0.536 1
O41 O 0.726 0.022 0.308 1
V12 V 0.889 0.026 0.362 1
O42 O 0.316 0.290 0.841 1
O43 O 0.839 0.439 0.609 1
O44 O 0.590 0.862 0.702 1
O45 O 0.021 0.121 0.262 1
O46 O 0.132 0.848 0.588 1
Li15 Li 0.775 0.000 0.689 1
O47 O 0.934 0.848 0.027 1
Li16 Li 0.484 0.284 0.149 1
Mn8 Mn 0.463 0.133 0.617 1
O48 O 0.445 0.201 0.047 1
```


[3]
# Li3FeCu2O6

An optimized crystal structure of Li3FeCu2O6 (PBE with a Hubbard U, the Materials Project).

Spin magnetization ... 9.0 μB per cell
Space group ... C2/m (12)

```
data_Li3FeCu2O6
_cell_length_a 6.610
_cell_length_b 6.610
_cell_length_c 5.918
_cell_angle_alpha 76.74
_cell_angle_beta 76.74
_cell_angle_gamma 25.81
_space_group_name_H-M_alt 'P 1'
_space_group_IT_number 1
loop_
_space_group_symop_operation_xyz
'x,y,z'
loop_
_atom_site_label
_atom_site_type_symbol
_atom_site_fract_x
_atom_site_fract_y
_atom_site_fract_z
_atom_site_occupancy
Li1 Li 0.500 0.500 0.500 1
O1 O 0.672 0.672 0.430 1
O2 O 0.997 0.997 0.238 1
O3 O 0.003 0.003 0.762 1
O4 O 0.328 0.328 0.570 1
Li2 Li 0.171 0.171 0.164 1
Li3 Li 0.829 0.829 0.836 1
Fe1 Fe 0.500 0.500 0.000 1
Cu1 Cu 0.832 0.832 0.333 1
Cu2 Cu 0.168 0.168 0.667 1
O5 O 0.335 0.335 0.095 1
O6 O 0.665 0.665 0.905 1
```


[4]
# NaV3P3O12

An optimized crystal structure of NaV3P3O12 (PBE with a Hubbard U, the Materials Project).

Spin magnetization ... 14.0 μB per cell
Space group ... Imma (74)

```
data_NaV3P3O12
_cell_length_a 9.161
_cell_length_b 9.161
_cell_length_c 9.161
_cell_angle_alpha 137.98
_cell_angle_beta 108.70
_cell_angle_gamma 86.36
_space_group_name_H-M_alt 'P 1'
_space_group_IT_number 1
loop_
_space_group_symop_operation_xyz
'x,y,z'
loop_
_atom_site_label
_atom_site_type_symbol
_atom_site_fract_x
_atom_site_fract_y
_atom_site_fract_z
_atom_site_occupancy
O1 O 0.650 0.429 0.350 1
O2 O 0.921 0.571 0.221 1
O3 O 0.647 0.712 0.347 1
O4 O 0.135 0.200 0.347 1
O5 O 0.635 0.984 0.119 1
O6 O 0.421 0.200 0.350 1
O7 O 0.865 0.800 0.653 1
O8 O 0.135 0.016 0.651 1
Na1 Na 0.250 0.649 0.399 1
O9 O 0.579 0.800 0.650 1
O10 O 0.365 0.016 0.881 1
O11 O 0.845 0.797 0.953 1
O12 O 0.353 0.288 0.653 1
O13 O 0.079 0.429 0.779 1
O14 O 0.350 0.571 0.650 1
O15 O 0.853 0.200 0.066 1
V1 V 0.886 0.886 0.500 1
P1 P 0.750 0.833 0.083 1
Na2 Na 0.750 0.351 0.601 1
O16 O 0.365 0.712 0.066 1
V2 V 0.386 0.886 0.000 1
O17 O 0.865 0.984 0.349 1
O18 O 0.150 0.800 0.221 1
O19 O 0.655 0.608 0.953 1
P2 P 0.677 0.677 0.500 1
P3 P 0.177 0.677 0.000 1
O20 O 0.635 0.288 0.934 1
P4 P 0.823 0.323 0.000 1
O21 O 0.147 0.800 0.934 1
P5 P 0.323 0.323 0.500 1
O22 O 0.155 0.203 0.047 1
O23 O 0.850 0.200 0.779 1
V3 V 0.500 0.500 0.000 1
V4 V 0.114 0.114 0.500 1
P6 P 0.250 0.167 0.917 1
O24 O 0.345 0.392 0.047 1
V5 V 0.614 0.114 0.000 1
V6 V 0.000 0.000 0.000 1
```


[5]
# Ba2TlMo2O7

An optimized crystal structure of Ba2TlMo2O7 (PBE with a Hubbard U, the Materials Project).

Spin magnetization ... 3.2 μB per cell
Space group ... P4/mmm (123)

```
data_Ba2TlMo2O7
_cell_length_a 3.978
_cell_length_b 3.978
_cell_length_c 13.337
_cell_angle_alpha 90.00
_cell_angle_beta 90.00
_cell_angle_gamma 90.00
_space_group_name_H-M_alt 'P 1'
_space_group_IT_number 1
loop_
_space_group_symop_operation_xyz
'x,y,z'
loop_
_atom_site_label
_atom_site_type_symbol
_atom_site_fract_x
_atom_site_fract_y
_atom_site_fract_z
_atom_site_occupancy
O1 O 0.500 0.500 0.500 1
O2 O 0.000 0.500 0.866 1
Mo1 Mo 0.000 0.000 0.139 1
O3 O 0.000 0.000 0.711 1
Mo2 Mo 0.000 0.000 0.861 1
O4 O 0.000 0.500 0.134 1
Ba1 Ba 0.500 0.500 0.302 1
O5 O 0.500 0.000 0.866 1
O6 O 0.000 0.000 0.289 1
Tl1 Tl 0.000 0.000 0.500 1
Ba2 Ba 0.500 0.500 0.698 1
O7 O 0.500 0.000 0.134 1
```


[6]
# Ca2CoSbO6

An optimized crystal structure of Ca2CoSbO6 (PBE with a Hubbard U, the Materials Project).

Spin magnetization ... 4.0 μB per cell
Space group ... P2_1/m (11)

```
data_Ca2CoSbO6
_cell_length_a 7.687
_cell_length_b 5.506
_cell_length_c 5.665
_cell_angle_alpha 89.92
_cell_angle_beta 90.00
_cell_angle_gamma 90.00
_space_group_name_H-M_alt 'P 1'
_space_group_IT_number 1
loop_
_space_group_symop_operation_xyz
'x,y,z'
loop_
_atom_site_label
_atom_site_type_symbol
_atom_site_fract_x
_atom_site_fract_y
_atom_site_fract_z
_atom_site_occupancy
Co1 Co 0.000 0.500 0.000 1
Sb1 Sb 0.500 0.000 0.500 1
Ca1 Ca 0.750 0.998 0.044 1
O1 O 0.250 0.576 0.024 1
O2 O 0.547 0.706 0.306 1
Ca2 Ca 0.250 0.481 0.434 1
Ca3 Ca 0.750 0.519 0.566 1
O3 O 0.750 0.108 0.464 1
O4 O 0.951 0.810 0.794 1
Ca4 Ca 0.250 0.002 0.956 1
O5 O 0.250 0.892 0.536 1
Co2 Co 0.500 0.500 0.000 1
Sb2 Sb 0.000 0.000 0.500 1
O6 O 0.953 0.706 0.306 1
O7 O 0.453 0.294 0.694 1
O8 O 0.451 0.190 0.206 1
O9 O 0.549 0.810 0.794 1
O10 O 0.049 0.190 0.206 1
O11 O 0.047 0.294 0.694 1
O12 O 0.750 0.424 0.976 1
```


Number 1: ΔH_f (0 K) -2.569 eV/f.u., calculated total energy -12.30 eV/f.u.. Number 2: ΔH_f (0 K) -49.290 eV/f.u., calculated total energy -145.20 eV/f.u.. Number 3: ΔH_f (0 K) -18.792 eV/f.u., calculated total energy -64.50 eV/f.u.. Number 4: ΔH_f (0 K) -50.831 eV/f.u., calculated total energy -141.68 eV/f.u.. Number 5: ΔH_f (0 K) -24.484 eV/f.u., calculated total energy -75.80 eV/f.u.. Number 6: ΔH_f (0 K) -23.536 eV/f.u., calculated total energy -62.71 eV/f.u..